# 1
The following is a PBE calculation of a geometry-optimized Na3Ag structure, from Materials Project.

abc: 4.9986 4.9986 8.6849
angles: 90.00 90.00 90.00
With the nearest neighbours (Å) after each atom.
Space group I4/mmm (No. 139)
Asymmetric unit:
1 Na 0.0000 0.0000 0.0000  8 Na 3.31, 4 Ag 3.53
2 Na 0.0000 0.5000 0.2500  8 Na 3.31-3.53, 4 Ag 3.31
3 Ag 0.0000 0.0000 0.5000  12 Na 3.31-3.53

Output
The formation energy from the elements comes out at 10 meV/atom.

# 2
The following is a PBE calculation of a geometry-optimized Mg4Cu11O15 structure, from Materials Project.

abc: 4.0395 9.4441 16.2411
angles: 90.00 90.00 90.00
With the nearest neighbours (Å) after each atom.
Space group Pmm2 (No. 25)
Asymmetric unit:
1 Mg 0.0000 0.0000 0.0000  6 O 2.05-2.21
2 Mg 0.0000 0.0000 0.1993  6 O 2.05-2.23
3 Mg 0.0000 0.0000 0.3995  6 O 2.05-2.22
4 Mg 0.0000 0.0000 0.5995  6 O 2.05-2.23
5 Mg 0.0000 0.0000 0.7996  6 O 2.05-2.23
6 Mg 0.5000 0.5000 0.0516  6 O 2.05-2.21
7 Mg 0.5000 0.5000 0.2528  6 O 2.05-2.23
8 Mg 0.5000 0.5000 0.6530  6 O 2.05-2.22
9 Cu 0.0000 0.3342 0.5620  4 O 1.92-2.03
10 Cu 0.0000 0.3341 0.9620  4 O 1.92-2.03
11 Cu 0.0000 0.3353 0.3610  4 O 1.91-2.03
12 Cu 0.0000 0.3352 0.7613  4 O 1.91-2.03
13 Cu 0.0000 0.3355 0.1605  4 O 1.92-2.03
14 Cu 0.5000 0.1642 0.4908  4 O 1.92-2.03
15 Cu 0.5000 0.1639 0.8911  4 O 1.92-2.03
16 Cu 0.5000 0.1650 0.0906  4 O 1.92-2.03
17 Cu 0.5000 0.1645 0.2887  4 O 1.92-2.03
18 Cu 0.5000 0.1649 0.6885  4 O 1.91-2.04
19 Cu 0.5000 0.5000 0.4548  6 O 2.06-2.29
20 Cu 0.5000 0.5000 0.8547  6 O 2.06-2.28
21 O 0.0000 0.1543 0.1026  3 Cu 1.95-2.03, 1 Mg 2.14
22 O 0.0000 0.1542 0.9032  3 Cu 1.95-2.03, 1 Mg 2.14
23 O 0.0000 0.1548 0.3028  3 Cu 1.95-2.03, 1 Mg 2.15
24 O 0.0000 0.1546 0.5028  3 Cu 1.95-2.03, 1 Mg 2.14
25 O 0.0000 0.1548 0.7031  3 Cu 1.95-2.04, 1 Mg 2.14
26 O 0.0000 0.5000 0.0301  2 Cu 1.92, 2 Mg 2.05
27 O 0.0000 0.5000 0.2297  2 Cu 1.92, 2 Mg 2.05
28 O 0.0000 0.5000 0.4290  4 Cu 1.91-2.06
29 O 0.0000 0.5000 0.6302  2 Cu 1.92, 2 Mg 2.05
30 O 0.0000 0.5000 0.8292  4 Cu 1.91-2.06
31 O 0.5000 0.0000 0.0215  2 Cu 1.92, 2 Mg 2.05
32 O 0.5000 0.0000 0.2197  2 Cu 1.92, 2 Mg 2.05
33 O 0.5000 0.0000 0.4212  2 Cu 1.92, 2 Mg 2.05
34 O 0.5000 0.0000 0.6200  2 Cu 1.91, 2 Mg 2.05
35 O 0.5000 0.0000 0.8215  2 Cu 1.92, 2 Mg 2.05
36 O 0.5000 0.3415 0.5518  4 Cu 1.95-2.17
37 O 0.5000 0.3421 0.3476  3 Cu 1.93-2.03, 1 Mg 2.14
38 O 0.5000 0.3421 0.7481  3 Cu 1.93-2.03, 1 Mg 2.15
39 O 0.5000 0.3417 0.9516  4 Cu 1.95-2.17
40 O 0.5000 0.3459 0.1490  3 Cu 1.95-2.03, 1 Mg 2.15

Output
The value obtained for the size of the total moment is 0.1 Bohr magnetons per cell. The value obtained for the MP2020-corrected energy is -168.9 eV per formula unit. The formation energy from the elements comes out at -1440 meV/atom.

# 3
The following is a PBE calculation of a geometry-optimized Na2SmPCO7 structure, from Materials Project.

abc: 5.1858 7.1119 9.4139
angles: 90.00 90.82 90.00
With the nearest neighbours (Å) after each atom.
Space group P2_1/m (No. 11)
Asymmetric unit:
1 Na 0.2286 0.0053 0.2057  4 O 2.26-2.53
2 Sm 0.2359 0.2500 0.6228  6 O 2.33-2.55
3 P 0.2932 0.7500 0.5871  4 O 1.55-1.58
4 C 0.2690 0.2500 0.9235  3 O 1.27-1.33
5 O 0.0428 0.2500 0.8595  1 C 1.31
6 O 0.1681 0.5714 0.6495  1 P 1.55
7 O 0.2507 0.7500 0.4202  1 P 1.58
8 O 0.2989 0.2500 0.0573  1 C 1.27
9 O 0.4088 0.2500 0.3891  1 P 1.56
10 O 0.4685 0.2500 0.8366  1 C 1.33

Output
The value obtained for the size of the total moment is 0.0 Bohr magnetons per cell. The value obtained for the MP2020-corrected energy is -89.6 eV per formula unit. The formation energy from the elements comes out at -2745 meV/atom.

# 4
The following is a PBE calculation of a geometry-optimized MgGaH5 structure, from Materials Project.

abc: 6.6140 6.9949 10.2739
angles: 90.00 129.71 90.00
With the nearest neighbours (Å) after each atom.
Space group P2_1/c (No. 14)
Asymmetric unit:
1 Mg 0.0038 0.1312 0.2572  5 H 1.82-2.03
2 Ga 0.3649 0.6243 0.1176  4 H 1.59-1.61
3 H 0.0658 0.1168 0.8134  2 Mg 1.82
4 H 0.2403 0.0692 0.5076  1 Ga 1.61
5 H 0.2445 0.6907 0.4970  1 Ga 1.61
6 H 0.3052 0.6331 0.2457  1 Ga 1.60
7 H 0.3244 0.1179 0.2710  1 Ga 1.59

Output
The value obtained for the size of the total moment is 0.0 Bohr magnetons per cell. The value obtained for the MP2020-corrected energy is -22.5 eV per formula unit. The formation energy from the elements comes out at -125 meV/atom.

# 5
The following is a PBE calculation of a geometry-optimized Na4SrSi8O23 structure, from Materials Project.

abc: 22.3698 7.1071 13.6177
angles: 90.00 92.45 90.00
With the nearest neighbours (Å) after each atom.
Space group P2/c (No. 13)
Asymmetric unit:
1 Na 0.0000 0.0130 0.2500  6 O 2.39-2.41
2 Na 0.0099 0.2723 0.9987  5 O 2.27-2.45
3 Na 0.2478 0.2519 0.5042  6 O 2.49-2.56
4 Na 0.4969 0.2699 0.4863  5 O 2.34-2.45
5 Na 0.5000 0.0269 0.2500  6 O 2.35-2.41
6 Sr 0.0000 0.4921 0.7500  6 O 2.49-2.69
7 Sr 0.5000 0.4748 0.7500  6 O 2.54-2.72
8 Si 0.1125 0.2149 0.6472  4 O 1.60-1.67
9 Si 0.1224 0.2160 0.1422  4 O 1.61-1.67
10 Si 0.1271 0.4935 0.4745  4 O 1.61-1.66
11 Si 0.1849 0.4857 0.7797  4 O 1.63-1.64
12 Si 0.3174 0.4850 0.7195  4 O 1.62-1.64
13 Si 0.3720 0.4920 0.5225  4 O 1.60-1.67
14 Si 0.3765 0.2177 0.3459  4 O 1.60-1.67
15 Si 0.3888 0.2108 0.8598  4 O 1.61-1.66
16 O 0.0412 0.2221 0.6464  1 Si 1.60
17 O 0.0507 0.0967 0.4039  2 Na 2.30-2.41
18 O 0.0534 0.2507 0.1665  1 Si 1.61
19 O 0.0618 0.4683 0.4222  1 Si 1.61
20 O 0.1339 0.2998 0.0304  2 Si 1.66-1.67
21 O 0.1368 0.3219 0.7499  2 Si 1.63-1.66
22 O 0.1427 0.0052 0.6429  2 Si 1.64
23 O 0.1453 0.3285 0.5565  2 Si 1.66-1.67
24 O 0.1693 0.3189 0.2219  2 Si 1.63-1.65
25 O 0.1831 0.4770 0.3985  2 Si 1.64-1.66
26 O 0.2111 0.0074 0.8948  1 Na 2.49
27 O 0.2521 0.4184 0.7545  2 Si 1.63
28 O 0.3097 0.0172 0.0779  1 Na 2.54
29 O 0.3161 0.4769 0.5994  2 Si 1.64-1.67
30 O 0.3329 0.3022 0.2554  2 Si 1.62-1.65
31 O 0.3520 0.3138 0.4485  2 Si 1.67
32 O 0.3570 0.0047 0.8516  2 Si 1.63-1.64
33 O 0.3626 0.3120 0.9580  2 Si 1.65-1.66
34 O 0.3683 0.3393 0.7626  2 Si 1.63-1.66
35 O 0.4375 0.4830 0.5744  1 Si 1.60
36 O 0.4460 0.2580 0.3327  1 Si 1.60
37 O 0.4522 0.0516 0.5931  1 O 2.32, 2 Na 2.38-2.41
38 O 0.4608 0.2082 0.8571  1 Si 1.61

Output
The value obtained for the size of the total moment is 32.0 Bohr magnetons per cell. The value obtained for the MP2020-corrected energy is -254.6 eV per formula unit. The formation energy from the elements comes out at -2512 meV/atom.

# 6
The following is a PBE calculation of a geometry-optimized Ba2LuNbO6 structure, from Materials Project.

abc: 8.4642 8.4642 8.4642
angles: 90.00 90.00 90.00
With the nearest neighbours (Å) after each atom.
Space group Fm-3m (No. 225)
Asymmetric unit:
1 Ba 0.2500 0.2500 0.2500  12 O 2.99
2 Lu 0.0000 0.0000 0.0000  6 O 2.20
3 Nb 0.0000 0.0000 0.5000  6 O 2.03
4 O 0.0000 0.0000 0.2602  1 Nb 2.03, 1 Lu 2.20

Output
The value obtained for the MP2020-corrected energy is -83.2 eV per formula unit. The formation energy from the elements comes out at -3506 meV/atom.

Copy entry 6 word for word.
The following is a PBE calculation of a geometry-optimized Ba2LuNbO6 structure, from Materials Project.

abc: 8.4642 8.4642 8.4642
angles: 90.00 90.00 90.00
With the nearest neighbours (Å) after each atom.
Space group Fm-3m (No. 225)
Asymmetric unit:
1 Ba 0.2500 0.2500 0.2500  12 O 2.99
2 Lu 0.0000 0.0000 0.0000  6 O 2.20
3 Nb 0.0000 0.0000 0.5000  6 O 2.03
4 O 0.0000 0.0000 0.2602  1 Nb 2.03, 1 Lu 2.20

Output
The value obtained for the MP2020-corrected energy is -83.2 eV per formula unit. The formation energy from the elements comes out at -3506 meV/atom.